(1)
{"formula": "TiSnO4", "functional": "PBE", "state": "relaxed", "lattice_angstrom": [[4.595, -3.347, 0.000], [4.595, 3.347, 0.000], [-2.856, 0.000, 6.876]], "species": ["Ti", "Ti", "Ti", "Sn", "Sn", "Sn", "O", "O", "O", "O", "O", "O", "O", "O", "O", "O", "O", "O"], "fractional_positions": [[0.000, 0.000, 0.000], [0.021, 0.021, 0.505], [0.340, 0.340, 0.819], [0.344, 0.344, 0.318], [0.677, 0.677, 0.148], [0.682, 0.682, 0.653], [0.050, 0.654, 0.831], [0.116, 0.116, 0.775], [0.244, 0.244, 0.530], [0.312, 0.718, 0.480], [0.361, 0.978, 0.142], [0.439, 0.439, 0.104], [0.565, 0.565, 0.845], [0.654, 0.050, 0.831], [0.718, 0.312, 0.480], [0.792, 0.792, 0.452], [0.916, 0.916, 0.191], [0.978, 0.361, 0.142]], "density_g_cm3": 5.4, "de_polymorph_mev_per_atom": 7, "delta_e_f_ev_per_fu": -16.56, "space_group": "Cm"}



(2)
{"formula": "Tl2SnO3", "functional": "PBE", "state": "relaxed", "lattice_angstrom": [[10.419, 0.000, 0.000], [0.000, 3.300, 0.000], [0.000, 0.000, 12.736]], "species": ["Tl", "Tl", "Tl", "Tl", "Tl", "Tl", "Tl", "Tl", "Sn", "Sn", "Sn", "Sn", "O", "O", "O", "O", "O", "O", "O", "O", "O", "O", "O", "O"], "fractional_positions": [[0.136, 0.250, 0.105], [0.208, 0.750, 0.846], [0.292, 0.250, 0.346], [0.364, 0.750, 0.605], [0.636, 0.250, 0.395], [0.708, 0.750, 0.654], [0.792, 0.250, 0.154], [0.864, 0.750, 0.895], [0.039, 0.250, 0.610], [0.461, 0.750, 0.110], [0.539, 0.250, 0.890], [0.961, 0.750, 0.390], [0.043, 0.250, 0.310], [0.106, 0.750, 0.510], [0.210, 0.250, 0.689], [0.290, 0.750, 0.189], [0.394, 0.250, 0.010], [0.457, 0.750, 0.810], [0.543, 0.250, 0.190], [0.606, 0.750, 0.990], [0.710, 0.250, 0.811], [0.790, 0.750, 0.311], [0.894, 0.250, 0.490], [0.957, 0.750, 0.690]], "density_g_cm3": 8.7, "delta_e_f_ev_per_fu": -9.00, "space_group": "Pnma"}



(3)
{"formula": "Tm2Sn2O7", "functional": "PBE", "state": "relaxed", "lattice_angstrom": [[0.000, 5.208, 5.208], [5.208, 0.000, 5.208], [5.208, 5.208, 0.000]], "species": ["Tm", "Tm", "Tm", "Tm", "Sn", "Sn", "Sn", "Sn", "O", "O", "O", "O", "O", "O", "O", "O", "O", "O", "O", "O", "O", "O"], "fractional_positions": [[0.000, 0.000, 0.000], [0.000, 0.000, 0.500], [0.000, 0.500, 0.000], [0.500, 0.000, 0.000], [0.000, 0.500, 0.500], [0.500, 0.000, 0.500], [0.500, 0.500, 0.000], [0.500, 0.500, 0.500], [0.125, 0.125, 0.125], [0.159, 0.159, 0.591], [0.159, 0.591, 0.159], [0.159, 0.591, 0.591], [0.409, 0.409, 0.841], [0.409, 0.841, 0.409], [0.409, 0.841, 0.841], [0.591, 0.159, 0.159], [0.591, 0.159, 0.591], [0.591, 0.591, 0.159], [0.841, 0.409, 0.409], [0.841, 0.409, 0.841], [0.841, 0.841, 0.409], [0.875, 0.875, 0.875]], "density_g_cm3": 8.1, "delta_e_f_ev_per_fu": -33.38, "space_group": "Fd-3m"}



(4)
{"formula": "YSnO3", "functional": "PBE", "state": "relaxed", "lattice_angstrom": [[6.427, 0.000, 0.000], [-3.214, 5.566, 0.000], [0.000, 0.000, 12.576]], "species": ["Y", "Y", "Y", "Y", "Y", "Y", "Sn", "Sn", "Sn", "Sn", "Sn", "Sn", "O", "O", "O", "O", "O", "O", "O", "O", "O", "O", "O", "O", "O", "O", "O", "O", "O", "O"], "fractional_positions": [[0.000, 0.000, 0.000], [0.000, 0.000, 0.500], [0.333, 0.667, 0.468], [0.333, 0.667, 0.968], [0.667, 0.333, 0.468], [0.667, 0.333, 0.968], [0.000, 0.333, 0.232], [0.000, 0.667, 0.732], [0.333, 0.000, 0.232], [0.333, 0.333, 0.732], [0.667, 0.000, 0.732], [0.667, 0.667, 0.232], [0.000, 0.000, 0.202], [0.000, 0.000, 0.702], [0.000, 0.309, 0.405], [0.000, 0.360, 0.060], [0.000, 0.640, 0.560], [0.000, 0.691, 0.905], [0.309, 0.000, 0.405], [0.309, 0.309, 0.905], [0.333, 0.667, 0.257], [0.333, 0.667, 0.757], [0.360, 0.000, 0.060], [0.360, 0.360, 0.560], [0.640, 0.000, 0.560], [0.640, 0.640, 0.060], [0.667, 0.333, 0.257], [0.667, 0.333, 0.757], [0.691, 0.000, 0.905], [0.691, 0.691, 0.405]], "density_g_cm3": 5.7, "delta_e_f_ev_per_fu": -14.02, "space_group": "P6_3cm"}



(5)
{"formula": "YSnO3", "functional": "PBE", "state": "relaxed", "lattice_angstrom": [[5.662, 0.000, 0.000], [0.000, 5.933, 0.000], [-5.607, 0.000, 8.599]], "species": ["Y", "Y", "Y", "Y", "Sn", "Sn", "Sn", "Sn", "O", "O", "O", "O", "O", "O", "O", "O", "O", "O", "O", "O"], "fractional_positions": [[0.226, 0.061, 0.250], [0.226, 0.439, 0.750], [0.774, 0.561, 0.250], [0.774, 0.939, 0.750], [0.000, 0.000, 0.500], [0.000, 0.500, 0.000], [0.500, 0.000, 0.000], [0.500, 0.500, 0.500], [0.069, 0.205, 0.911], [0.069, 0.295, 0.411], [0.210, 0.675, 0.919], [0.210, 0.825, 0.419], [0.381, 0.085, 0.720], [0.381, 0.415, 0.220], [0.619, 0.585, 0.780], [0.619, 0.915, 0.280], [0.790, 0.175, 0.581], [0.790, 0.325, 0.081], [0.931, 0.705, 0.589], [0.931, 0.795, 0.089]], "density_g_cm3": 5.9, "delta_e_f_ev_per_fu": -13.91, "space_group": "P2_1/c"}



(6)
{"formula": "YSn2O4", "functional": "PBE", "state": "relaxed", "lattice_angstrom": [[3.365, 1.943, 5.973], [-3.365, 1.943, 5.973], [0.000, -3.885, 5.973]], "species": ["Y", "Y", "Sn", "Sn", "Sn", "Sn", "O", "O", "O", "O", "O", "O", "O", "O"], "fractional_positions": [[0.134, 0.134, 0.134], [0.866, 0.866, 0.866], [0.000, 0.500, 0.500], [0.500, 0.000, 0.500], [0.500, 0.500, 0.000], [0.500, 0.500, 0.500], [0.250, 0.250, 0.250], [0.268, 0.719, 0.719], [0.281, 0.281, 0.732], [0.281, 0.732, 0.281], [0.719, 0.268, 0.719], [0.719, 0.719, 0.268], [0.732, 0.281, 0.281], [0.750, 0.750, 0.750]], "density_g_cm3": 5.5, "delta_e_f_ev_per_fu": -15.67, "space_group": "R-3m"}



(7)
{"formula": "YSnO3", "functional": "PBE", "state": "relaxed", "lattice_angstrom": [[4.142, 0.000, 0.000], [0.000, 4.142, 0.000], [0.000, 0.000, 4.142]], "species": ["Y", "Sn", "O", "O", "O"], "fractional_positions": [[0.000, 0.000, 0.000], [0.500, 0.500, 0.500], [0.000, 0.500, 0.500], [0.500, 0.000, 0.500], [0.500, 0.500, 0.000]], "density_g_cm3": 6.0, "delta_e_f_ev_per_fu": -10.86, "space_group": "Pm-3m"}



(8)
{"formula": "YSn2O4", "functional": "PBE", "state": "relaxed", "lattice_angstrom": [[-3.066, 3.066, 5.318], [3.066, -3.066, 5.318], [3.066, 3.066, -5.318]], "species": ["Y", "Y", "Sn", "Sn", "Sn", "Sn", "O", "O", "O", "O", "O", "O", "O", "O"], "fractional_positions": [[0.375, 0.125, 0.250], [0.625, 0.875, 0.750], [0.000, 0.000, 0.500], [0.000, 0.500, 0.000], [0.000, 0.500, 0.500], [0.500, 0.500, 0.000], [0.003, 0.102, 0.253], [0.250, 0.503, 0.401], [0.349, 0.750, 0.247], [0.398, 0.151, 0.901], [0.602, 0.849, 0.099], [0.651, 0.250, 0.753], [0.750, 0.497, 0.599], [0.997, 0.898, 0.747]], "density_g_cm3": 6.5, "delta_e_f_ev_per_fu": -15.67, "space_group": "I4_1/a"}